Compound: Na6Sc5Nb3P12O48
Source: Materials Project
Functional: PBE
Structure: relaxed

Lattice parameters (Å, degrees): 8.8797 15.3845 22.9152 90.00 90.04 90.02
With the nearest neighbours (Å) after each atom.
Fractional positions:
Na: 0.0000 0.0000 0.0000  6 O 2.55-2.71
Na: 0.9998 0.0010 0.5007  6 O 2.51-2.72
Na: 0.0007 0.6669 0.8341  6 O 2.56-2.73
Na: 0.0072 0.6669 0.3319  6 O 2.57-2.64
Na: 0.0084 0.3326 0.6654  6 O 2.55-2.76
Na: 0.3163 0.3172 0.2446  4 O 2.35-2.54
Na: 0.3667 0.0006 0.2444  4 O 2.37-2.51
Na: 0.4931 0.1670 0.8326  6 O 2.56-2.66
Na: 0.4963 0.8298 0.1620  6 O 2.61-2.72
Na: 0.4968 0.8307 0.6657  6 O 2.57-2.76
Na: 0.5014 0.4992 0.5003  6 O 2.52-2.71
Na: 0.5006 0.5002 0.0001  6 O 2.55-2.71
Na: 0.5071 0.1672 0.3324  6 O 2.56-2.65
Na: 0.6330 0.0001 0.7459  4 O 2.38-2.48
Na: 0.6844 0.3168 0.7458  4 O 2.33-2.53
Na: 0.8162 0.8171 0.2444  4 O 2.35-2.54
Na: 0.8667 0.5006 0.2446  4 O 2.37-2.51
Na: 0.9962 0.3298 0.1622  6 O 2.61-2.71
Sc: 0.0002 0.0009 0.1408  6 O 2.07-2.10
Sc: 0.9999 0.6664 0.4766  6 O 2.04-2.11
Sc: 0.0002 0.6669 0.9778  6 O 2.04-2.12
Sc: 0.0025 0.0017 0.6430  6 O 2.05-2.11
Sc: 0.0075 0.3338 0.8118  6 O 2.01-2.16
Sc: 0.0076 0.6671 0.1778  5 O 2.00-2.20
Sc: 0.4914 0.1672 0.6801  6 O 2.02-2.24
Sc: 0.4968 0.8304 0.3128  6 O 1.99-2.16
Sc: 0.4967 0.8302 0.8116  6 O 2.01-2.16
Sc: 0.4990 0.4993 0.6430  6 O 2.04-2.11
Sc: 0.5001 0.1670 0.4781  6 O 2.03-2.13
Sc: 0.5001 0.5010 0.1409  6 O 2.07-2.10
Sc: 0.5009 0.1665 0.9775  6 O 2.04-2.12
Sc: 0.5076 0.1672 0.1778  5 O 2.00-2.20
Sc: 0.9973 0.3308 0.3129  6 O 1.99-2.16
Nb: 0.0008 0.3335 0.0174  6 O 1.99-2.04
Nb: 0.0033 0.9999 0.8515  6 O 1.98-2.05
Nb: 0.0025 0.6666 0.6832  6 O 2.00-2.05
Nb: 0.4994 0.5003 0.3517  6 O 1.99-2.03
Nb: 0.4990 0.5006 0.8517  6 O 2.00-2.05
Nb: 0.5009 0.8336 0.0172  6 O 2.00-2.03
Nb: 0.5013 0.8340 0.5179  6 O 1.97-2.04
Nb: 0.9995 0.0006 0.3515  6 O 1.99-2.04
Nb: 0.9991 0.3327 0.5180  6 O 1.97-2.05
P: 0.1433 0.1456 0.2459  4 O 1.51-1.60
P: 0.1425 0.4790 0.9124  4 O 1.51-1.59
P: 0.1434 0.8119 0.5784  4 O 1.51-1.59
P: 0.1459 0.8551 0.2462  4 O 1.52-1.60
P: 0.1473 0.1894 0.9125  4 O 1.51-1.59
P: 0.1467 0.5226 0.5784  4 O 1.51-1.59
P: 0.2095 0.1654 0.5783  4 O 1.52-1.60
P: 0.2107 0.5010 0.2463  4 O 1.52-1.59
P: 0.2108 0.8319 0.9125  4 O 1.51-1.59
P: 0.2903 0.3322 0.4123  4 O 1.52-1.59
P: 0.2905 0.9995 0.7458  4 O 1.51-1.59
P: 0.2917 0.6662 0.0782  4 O 1.51-1.59
P: 0.3533 0.3558 0.7458  4 O 1.52-1.61
P: 0.3541 0.0216 0.0792  4 O 1.51-1.60
P: 0.3539 0.6889 0.4132  4 O 1.52-1.58
P: 0.3564 0.3125 0.0793  4 O 1.51-1.60
P: 0.3572 0.9791 0.4120  4 O 1.51-1.58
P: 0.3581 0.6444 0.7451  4 O 1.50-1.59
P: 0.6433 0.3130 0.5796  4 O 1.52-1.61
P: 0.6433 0.6454 0.2460  4 O 1.51-1.59
P: 0.6437 0.9788 0.9114  4 O 1.51-1.59
P: 0.6460 0.3551 0.2462  4 O 1.53-1.60
P: 0.6473 0.6895 0.9122  4 O 1.51-1.59
P: 0.6483 0.0223 0.5795  4 O 1.52-1.61
P: 0.7106 0.0010 0.2463  4 O 1.52-1.59
P: 0.7112 0.3321 0.9114  4 O 1.51-1.60
P: 0.7115 0.6654 0.5787  4 O 1.51-1.59
P: 0.7892 0.5005 0.7457  4 O 1.51-1.58
P: 0.7905 0.8323 0.4121  4 O 1.51-1.58
P: 0.7915 0.1661 0.0782  4 O 1.51-1.60
P: 0.8531 0.1888 0.4129  4 O 1.52-1.58
P: 0.8540 0.5217 0.0793  4 O 1.51-1.60
P: 0.8561 0.8125 0.0794  4 O 1.51-1.60
P: 0.8572 0.4789 0.4121  4 O 1.51-1.58
P: 0.8565 0.8557 0.7455  4 O 1.51-1.58
P: 0.8577 0.1459 0.7461  4 O 1.51-1.60
O: 0.0656 0.7664 0.2433  1 P 1.54
O: 0.0684 0.4306 0.5723  1 P 1.58
O: 0.0689 0.0971 0.9053  1 P 1.59
O: 0.0714 0.2325 0.9673  1 P 1.57
O: 0.0711 0.5667 0.6339  1 P 1.59
O: 0.0718 0.9020 0.3014  1 P 1.60
O: 0.0745 0.1027 0.1928  1 P 1.51
O: 0.0774 0.7690 0.5250  1 P 1.51
O: 0.0777 0.4370 0.8586  1 P 1.51
O: 0.0794 0.2378 0.2532  1 P 1.54
O: 0.0790 0.5697 0.9199  1 P 1.52
O: 0.0794 0.9019 0.5870  1 P 1.51
O: 0.1038 0.0879 0.5844  1 P 1.52
O: 0.1073 0.2502 0.5690  1 P 1.60
O: 0.1073 0.5812 0.2433  1 P 1.54
O: 0.1066 0.7546 0.9199  1 P 1.52
O: 0.1105 0.4191 0.2541  1 P 1.55
O: 0.1113 0.0852 0.3012  1 P 1.60
O: 0.1118 0.9172 0.9055  1 P 1.59
O: 0.1164 0.2427 0.8586  1 P 1.51
O: 0.1155 0.5772 0.5250  1 P 1.51
O: 0.1159 0.7520 0.6340  1 P 1.59
O: 0.1168 0.4194 0.9672  1 P 1.57
O: 0.1204 0.9135 0.1933  1 P 1.52
O: 0.1786 0.3216 0.0701  1 P 1.60
O: 0.1799 0.6523 0.7381  1 P 1.59
O: 0.1801 0.9855 0.4055  1 P 1.58
O: 0.1842 0.0078 0.0854  1 P 1.53
O: 0.1836 0.0114 0.8012  1 P 1.59
O: 0.1843 0.3456 0.7532  1 P 1.52
O: 0.1857 0.3483 0.4664  1 P 1.57
O: 0.1855 0.6763 0.4202  1 P 1.52
O: 0.1923 0.9856 0.6926  1 P 1.51
O: 0.1951 0.6536 0.0244  1 P 1.51
O: 0.1979 0.3213 0.3564  1 P 1.53
O: 0.2001 0.6853 0.1339  1 P 1.54
O: 0.3008 0.1855 0.6335  1 P 1.53
O: 0.3054 0.1537 0.5240  1 P 1.52
O: 0.3062 0.8207 0.8586  1 P 1.51
O: 0.3103 0.4829 0.1937  1 P 1.52
O: 0.3139 0.5102 0.5866  1 P 1.51
O: 0.3136 0.8484 0.9673  1 P 1.57
O: 0.3154 0.1761 0.9200  1 P 1.52
O: 0.3166 0.5123 0.3017  1 P 1.59
O: 0.3172 0.8486 0.2540  1 P 1.53
O: 0.3181 0.1522 0.2436  1 P 1.56
O: 0.3205 0.4859 0.9051  1 P 1.59
O: 0.3210 0.8186 0.5721  1 P 1.59
O: 0.3721 0.2590 0.1364  1 P 1.55
O: 0.3836 0.7427 0.3589  1 P 1.52
O: 0.3849 0.0766 0.0258  1 P 1.51
O: 0.3846 0.4112 0.6924  1 P 1.52
O: 0.3846 0.5862 0.8009  1 P 1.58
O: 0.3860 0.9184 0.4664  1 P 1.58
O: 0.3892 0.4175 0.4056  1 P 1.59
O: 0.3921 0.0813 0.7432  1 P 1.55
O: 0.3936 0.2545 0.4195  1 P 1.52
O: 0.3940 0.7503 0.0697  1 P 1.59
O: 0.3965 0.5880 0.0851  1 P 1.53
O: 0.3957 0.9205 0.7533  1 P 1.54
O: 0.4207 0.4043 0.0856  1 P 1.53
O: 0.4214 0.7355 0.7530  1 P 1.52
O: 0.4208 0.9381 0.3566  1 P 1.53
O: 0.4227 0.0693 0.4196  1 P 1.51
O: 0.4231 0.2696 0.0258  1 P 1.51
O: 0.4238 0.6027 0.6916  1 P 1.50
O: 0.4262 0.0565 0.1363  1 P 1.55
O: 0.4295 0.9283 0.0701  1 P 1.60
O: 0.4297 0.4030 0.8009  1 P 1.61
O: 0.4298 0.7329 0.4676  1 P 1.57
O: 0.4323 0.5973 0.4058  1 P 1.58
O: 0.4365 0.2672 0.7432  1 P 1.55
O: 0.5656 0.2665 0.2432  1 P 1.54
O: 0.5685 0.5973 0.9049  1 P 1.59
O: 0.5713 0.7325 0.9671  1 P 1.57
O: 0.5715 0.9285 0.5690  1 P 1.61
O: 0.5718 0.4019 0.3014  1 P 1.60
O: 0.5742 0.0564 0.6359  1 P 1.54
O: 0.5746 0.6028 0.1928  1 P 1.51
O: 0.5780 0.2700 0.5254  1 P 1.52
O: 0.5789 0.0690 0.9195  1 P 1.51
O: 0.5805 0.4048 0.5850  1 P 1.52
O: 0.5795 0.7378 0.2533  1 P 1.54
O: 0.5804 0.9378 0.8560  1 P 1.52
O: 0.6073 0.0812 0.2433  1 P 1.54
O: 0.6072 0.2550 0.9195  1 P 1.51
O: 0.6080 0.5887 0.5872  1 P 1.51
O: 0.6113 0.5853 0.3012  1 P 1.59
O: 0.6105 0.9190 0.2542  1 P 1.55
O: 0.6116 0.4178 0.9047  1 P 1.60
O: 0.6125 0.7509 0.5720  1 P 1.59
O: 0.6154 0.9188 0.9661  1 P 1.58
O: 0.6162 0.0761 0.5253  1 P 1.52
O: 0.6167 0.7432 0.8583  1 P 1.51
O: 0.6204 0.4135 0.1933  1 P 1.53
O: 0.6287 0.2589 0.6361  1 P 1.54
O: 0.6786 0.8216 0.0700  1 P 1.60
O: 0.6801 0.4858 0.4053  1 P 1.58
O: 0.6826 0.1521 0.7432  1 P 1.56
O: 0.6841 0.5078 0.0854  1 P 1.53
O: 0.6848 0.1760 0.4200  1 P 1.52
O: 0.6854 0.8476 0.4664  1 P 1.57
O: 0.6858 0.8460 0.7535  1 P 1.53
O: 0.6871 0.5159 0.8012  1 P 1.58
O: 0.6922 0.4851 0.6925  1 P 1.51
O: 0.6952 0.1537 0.0243  1 P 1.51
O: 0.6978 0.8211 0.3565  1 P 1.53
O: 0.7002 0.1854 0.1338  1 P 1.54
O: 0.8034 0.3214 0.8560  1 P 1.52
O: 0.8081 0.6541 0.5250  1 P 1.51
O: 0.8104 0.9829 0.1938  1 P 1.52
O: 0.8150 0.3484 0.9660  1 P 1.57
O: 0.8152 0.6760 0.9199  1 P 1.52
O: 0.8156 0.6816 0.6341  1 P 1.59
O: 0.8172 0.0070 0.5851  1 P 1.52
O: 0.8167 0.0122 0.3017  1 P 1.59
O: 0.8173 0.3486 0.2540  1 P 1.53
O: 0.8181 0.6523 0.2436  1 P 1.56
O: 0.8214 0.9856 0.9049  1 P 1.59
O: 0.8218 0.3219 0.5693  1 P 1.61
O: 0.8721 0.7590 0.1365  1 P 1.55
O: 0.8816 0.9120 0.6924  1 P 1.51
O: 0.8837 0.2426 0.3588  1 P 1.52
O: 0.8849 0.5765 0.0258  1 P 1.51
O: 0.8858 0.4189 0.4663  1 P 1.57
O: 0.8881 0.4199 0.7537  1 P 1.53
O: 0.8891 0.0846 0.8009  1 P 1.60
O: 0.8890 0.9175 0.4058  1 P 1.58
O: 0.8906 0.5842 0.7386  1 P 1.58
O: 0.8932 0.7546 0.4198  1 P 1.51
O: 0.8939 0.2503 0.0696  1 P 1.60
O: 0.8966 0.0880 0.0852  1 P 1.53
O: 0.9210 0.2381 0.7531  1 P 1.53
O: 0.9208 0.4386 0.3563  1 P 1.53
O: 0.9206 0.9043 0.0856  1 P 1.53
O: 0.9222 0.5693 0.4196  1 P 1.51
O: 0.9230 0.7697 0.0259  1 P 1.51
O: 0.9252 0.1031 0.6927  1 P 1.51
O: 0.9263 0.5564 0.1363  1 P 1.55
O: 0.9293 0.2326 0.4673  1 P 1.57
O: 0.9292 0.4283 0.0700  1 P 1.60
O: 0.9296 0.8986 0.8012  1 P 1.58
O: 0.9322 0.0974 0.4056  1 P 1.58
O: 0.9316 0.7632 0.7384  1 P 1.58

Calculated values
**DFT total energy**: -7.607 eV/atom
**M_tot**: 0.0 μB per formula unit